[1]
Pr2HgPb (GGA-PBE, optimized geometry); space-group type = Fm-3m; crystal system = cubic; calculated total energy = -15.65 eV for the cell shown; E_form = -0.52 eV/atom
1.0
0.000 3.922 3.922
3.922 0.000 3.922
3.922 3.922 0.000
Pr Hg Pb
2 1 1
Direct
0.250 0.250 0.250 Pr
0.750 0.750 0.750 Pr
0.000 0.000 0.000 Hg
0.500 0.500 0.500 Pb

---

[2]
Sm2HgPb (GGA-PBE, optimized geometry); space-group type = Fm-3m; crystal system = cubic; calculated total energy = -15.42 eV for the cell shown; E_form = -0.49 eV/atom
1.0
0.000 3.849 3.849
3.849 0.000 3.849
3.849 3.849 0.000
Sm Hg Pb
2 1 1
Direct
0.250 0.250 0.250 Sm
0.750 0.750 0.750 Sm
0.000 0.000 0.000 Hg
0.500 0.500 0.500 Pb

---

- Look up the E_form of the first one.
  -0.52 eV/atom

---

- Among the records above, which one has the highest E_form?
  Sm2HgPb

---

- E_form of number 2 (Sm2HgPb)?
  -0.49 eV/atom

---

- Look up the calculated total energy of the second one.
  -15.42 eV for the cell shown